Record 1
# PaCdAu2, optimized geometry, DFT meta-GGA r2SCAN
# Calculated formation energy in meV/atom: -411
# ρ in g/cm3: 14.40
# Total magnetization in μB/cell: 3.0
data_PaCdAu2
_chemical_formula_sum 'Pa4 Cd4 Au8'
_cell_length_a 6.980
_cell_length_b 6.980
_cell_length_c 6.980
_cell_angle_alpha 90.00
_cell_angle_beta 90.00
_cell_angle_gamma 90.00
_space_group_name_H-M_alt 'F m -3 m'
_space_group_IT_number 225
_space_group_name_Hall '-F 4 2 3'
loop_
_atom_site_label
_atom_site_type_symbol
_atom_site_fract_x
_atom_site_fract_y
_atom_site_fract_z
Pa1 Pa 0.000 0.000 0.000
Cd1 Cd 0.000 0.000 0.500
Au1 Au 0.250 0.250 0.250

---

Record 2
# PmCdAu2, optimized geometry, DFT meta-GGA r2SCAN
# Calculated formation energy in meV/atom: -715
# ρ in g/cm3: 12.41
# Total magnetization in μB/cell: 0.0
data_PmCdAu2
_chemical_formula_sum 'Pm4 Cd4 Au8'
_cell_length_a 7.037
_cell_length_b 7.037
_cell_length_c 7.037
_cell_angle_alpha 90.00
_cell_angle_beta 90.00
_cell_angle_gamma 90.00
_space_group_name_H-M_alt 'F m -3 m'
_space_group_IT_number 225
_space_group_name_Hall '-F 4 2 3'
loop_
_atom_site_label
_atom_site_type_symbol
_atom_site_fract_x
_atom_site_fract_y
_atom_site_fract_z
Pm1 Pm 0.000 0.000 0.000
Cd1 Cd 0.000 0.000 0.500
Au1 Au 0.250 0.250 0.250

---

Record 3
# PrCdAu2, optimized geometry, DFT meta-GGA r2SCAN
# Calculated formation energy in meV/atom: -686
# ρ in g/cm3: 11.91
# Total magnetization in μB/cell: 0.0
data_PrCdAu2
_chemical_formula_sum 'Pr4 Cd4 Au8'
_cell_length_a 7.120
_cell_length_b 7.120
_cell_length_c 7.120
_cell_angle_alpha 90.00
_cell_angle_beta 90.00
_cell_angle_gamma 90.00
_space_group_name_H-M_alt 'F m -3 m'
_space_group_IT_number 225
_space_group_name_Hall '-F 4 2 3'
loop_
_atom_site_label
_atom_site_type_symbol
_atom_site_fract_x
_atom_site_fract_y
_atom_site_fract_z
Pr1 Pr 0.000 0.000 0.000
Cd1 Cd 0.000 0.000 0.500
Au1 Au 0.250 0.250 0.250

---

Record 4
# Pr2CdAu2, optimized geometry, DFT meta-GGA r2SCAN
# Calculated formation energy in meV/atom: -778
# ρ in g/cm3: 10.15
# Total magnetization in μB/cell: 0.0
data_Pr2CdAu2
_chemical_formula_sum 'Pr4 Cd2 Au4'
_cell_length_a 8.063
_cell_length_b 8.063
_cell_length_c 3.967
_cell_angle_alpha 90.00
_cell_angle_beta 90.00
_cell_angle_gamma 90.00
_space_group_name_H-M_alt 'P 4/m b m'
_space_group_IT_number 127
_space_group_name_Hall '-P 4 2ab'
loop_
_atom_site_label
_atom_site_type_symbol
_atom_site_fract_x
_atom_site_fract_y
_atom_site_fract_z
Pr1 Pr 0.172 0.328 0.000
Cd1 Cd 0.000 0.000 0.500
Au1 Au 0.128 0.628 0.500

---

Record 5
# Cd2RhAu, optimized geometry, DFT meta-GGA r2SCAN
# Calculated formation energy in meV/atom: -141
# ρ in g/cm3: 12.46
# Total magnetization in μB/cell: 0.0
data_Cd2RhAu
_chemical_formula_sum 'Cd8 Rh4 Au4'
_cell_length_a 6.541
_cell_length_b 6.541
_cell_length_c 6.541
_cell_angle_alpha 90.00
_cell_angle_beta 90.00
_cell_angle_gamma 90.00
_space_group_name_H-M_alt 'F m -3 m'
_space_group_IT_number 225
_space_group_name_Hall '-F 4 2 3'
loop_
_atom_site_label
_atom_site_type_symbol
_atom_site_fract_x
_atom_site_fract_y
_atom_site_fract_z
Cd1 Cd 0.250 0.250 0.250
Rh1 Rh 0.000 0.000 0.000
Au1 Au 0.000 0.000 0.500

---

Record 6
# SmCdAu2, optimized geometry, DFT meta-GGA r2SCAN
# Calculated formation energy in meV/atom: -716
# ρ in g/cm3: 12.62
# Total magnetization in μB/cell: 0.0
data_SmCdAu2
_chemical_formula_sum 'Sm4 Cd4 Au8'
_cell_length_a 7.018
_cell_length_b 7.018
_cell_length_c 7.018
_cell_angle_alpha 90.00
_cell_angle_beta 90.00
_cell_angle_gamma 90.00
_space_group_name_H-M_alt 'F m -3 m'
_space_group_IT_number 225
_space_group_name_Hall '-F 4 2 3'
loop_
_atom_site_label
_atom_site_type_symbol
_atom_site_fract_x
_atom_site_fract_y
_atom_site_fract_z
Sm1 Sm 0.000 0.000 0.000
Cd1 Cd 0.000 0.000 0.500
Au1 Au 0.250 0.250 0.250